K2VAgS4 r²SCAN relaxed; total DFT energy (no corrections) = -11.05 eV per atom; ΔE_f = -848 kJ/mol of formula units; space group = Fddd, No. 70
1.0
0.000 6.507 11.179
2.897 0.000 11.179
2.897 6.507 0.000
K V Ag S
4 2 2 8
Direct
0.056 0.056 0.694
0.306 0.306 0.944
0.694 0.694 0.056
0.944 0.944 0.306
0.125 0.125 0.125
0.875 0.875 0.875
0.375 0.375 0.375
0.625 0.625 0.625
0.079 0.285 0.372
0.236 0.628 0.715
0.285 0.079 0.764
0.372 0.764 0.079
0.628 0.236 0.921
0.715 0.921 0.236
0.764 0.372 0.285
0.921 0.715 0.628

***

K2AgSb r²SCAN relaxed; total DFT energy (no corrections) = -15.28 eV per atom; ΔE_f = -194 kJ/mol of formula units; space group = Cmcm, No. 63
1.0
5.253 -4.161 0.000
5.253 4.161 0.000
0.000 0.000 6.289
K Ag Sb
4 2 2
Direct
0.022 0.321 0.250
0.321 0.022 0.750
0.679 0.978 0.250
0.978 0.679 0.750
0.500 0.500 0.000
0.500 0.500 0.500
0.236 0.764 0.250
0.764 0.236 0.750

***

KAg3Se2 r²SCAN relaxed; total DFT energy (no corrections) = -16.96 eV per atom; ΔE_f = -296 kJ/mol of formula units; space group = C2/m, No. 12
1.0
8.274 -2.183 0.000
8.274 2.183 0.000
-3.778 0.000 8.053
K Ag Se
2 6 4
Direct
0.136 0.136 0.051
0.864 0.864 0.949
0.056 0.056 0.403
0.312 0.312 0.563
0.408 0.408 0.355
0.592 0.592 0.645
0.688 0.688 0.437
0.944 0.944 0.597
0.203 0.203 0.706
0.485 0.485 0.791
0.515 0.515 0.209
0.797 0.797 0.294

***

LaAg3 r²SCAN relaxed; total DFT energy (no corrections) = -23.63 eV per atom; ΔE_f = -67 kJ/mol of formula units; space group = Fm-3m, No. 225
1.0
0.000 3.571 3.571
3.571 0.000 3.571
3.571 3.571 0.000
La Ag
1 3
Direct
0.000 0.000 0.000
0.250 0.250 0.250
0.500 0.500 0.500
0.750 0.750 0.750